Sm2Ga3Cu (meta-GGA r2SCAN, optimized geometry); ΔH_f (0 K) = -0.660 eV per atom; space-group type = No. 25; mass density = 7.66 g cm⁻³; volume = 20.72 Å³ per atom
1.0
-2.770 -2.081 1.514
-0.651 -1.933 -3.848
5.013 -5.339 1.834
Ga Sm Cu
3 2 1
Cartesian
1.587 -5.519 0.039 Ga
2.806 -5.504 2.290 Ga
-0.508 -1.974 1.078 Ga
-0.307 -0.986 -1.917 Sm
2.492 -2.654 0.911 Sm
-0.052 -3.773 -0.560 Cu